No. 1
A plane-wave DFT calculation with r2SCAN was carried out for a relaxed structure of DyCo3P2.

Properties
Density (g/cm3): 8.61
Crystal system: orthorhombic
Uncorrected energy (eV/atom): -15.849

a b c (Å): 3.684 10.416 12.104
angles (deg): 90.00 90.00 90.00
Space group Pmmn (No. 59, origin choice 2)
Asymmetric unit:
Dy 0.250 0.067 0.206 [4 per cell]
Dy 0.250 0.250 0.479 [2 per cell]
Co 0.250 0.130 0.710 [4 per cell]
Co 0.250 0.250 0.013 [2 per cell]
Co 0.250 0.547 0.431 [4 per cell]
Co 0.250 0.583 0.995 [4 per cell]
Co 0.250 0.750 0.155 [2 per cell]
Co 0.250 0.750 0.703 [2 per cell]
P 0.250 0.096 0.894 [4 per cell]
P 0.250 0.560 0.615 [4 per cell]
P 0.250 0.750 0.343 [2 per cell]
P 0.250 0.750 0.882 [2 per cell]

---

No. 2
A plane-wave DFT calculation with r2SCAN was carried out for a relaxed structure of DyCoSi2.

Properties
Density (g/cm3): 7.21
Crystal system: orthorhombic
Uncorrected energy (eV/atom): -16.456

a b c (Å): 4.009 16.175 3.946
angles (deg): 90.00 90.00 90.00
Space group Cmcm (No. 63)
Asymmetric unit:
Dy 0.000 0.108 0.250 [4 per cell]
Co 0.000 0.321 0.250 [4 per cell]
Si 0.000 0.250 0.750 [4 per cell]
Si 0.000 0.457 0.250 [4 per cell]

---

No. 3
A plane-wave DFT calculation with r2SCAN was carried out for a relaxed structure of Er4Co3.

Properties
Density (g/cm3): 9.88
Crystal system: trigonal
Uncorrected energy (eV/atom): -25.135

a b c (Å): 11.0637 11.0637 4.0226
angles (deg): 90.00 90.00 120.00
Space group P-3 (No. 147)
Asymmetric unit:
Er 0.0269 0.2484 0.2496 [6 per cell]
Er 0.1340 0.6198 0.2504 [6 per cell]
Co 0.0000 0.0000 0.5000 [1 per cell]
Co 0.1571 0.4413 0.7490 [6 per cell]
Co 0.3333 0.6667 0.7495 [2 per cell]